GdEr3 | GGA-PBE | relaxed

Unit cell a=7.1693 b=7.1693 c=5.6502 alpha=90.00 beta=90.00 gamma=120.00
Space group P6_3/mmc (No. 194)
One atom of each set of equivalent atoms:
Gd 0.3333 0.6667 0.2500 [2 per cell]
Er 0.1661 0.3322 0.7500 [6 per cell]

Properties
calculated formation energy: 2 meV/atom
E: -6.943 eV per atom

***

GdErHg2 | GGA-PBE | relaxed

Unit cell a=7.4525 b=7.4525 c=7.4525 alpha=90.00 beta=90.00 gamma=90.00
Space group Fm-3m (No. 225)
One atom of each set of equivalent atoms:
Gd 0.0000 0.0000 0.0000 [4 per cell]
Er 0.0000 0.0000 0.5000 [4 per cell]
Hg 0.2500 0.2500 0.2500 [8 per cell]

Properties
calculated formation energy: -485 meV/atom
E: -5.297 eV per atom